(1)
Pm2RuRh: relaxed, GGA-PBE.

abc: 7.015 7.015 7.015
angles: 90.00 90.00 90.00
Positions (direct):
Pm1 0.250 0.250 0.250
Pm2 0.250 0.250 0.750
Pm3 0.250 0.750 0.250
Pm4 0.250 0.750 0.750
Pm5 0.750 0.250 0.250
Pm6 0.750 0.250 0.750
Pm7 0.750 0.750 0.250
Pm8 0.750 0.750 0.750
Ru1 0.000 0.000 0.000
Ru2 0.000 0.500 0.500
Ru3 0.500 0.000 0.500
Ru4 0.500 0.500 0.000
Rh1 0.000 0.000 0.500
Rh2 0.000 0.500 0.000
Rh3 0.500 0.000 0.000
Rh4 0.500 0.500 0.500

energy of formation from the pure elements: -0.4104 eV per atom
SG: Fm-3m

***

(2)
Ba6Re2N6O: relaxed, GGA-PBE.

abc: 7.550 7.550 7.550
angles: 65.66 65.66 65.66
Positions (direct):
Ba1 0.184 0.740 0.333
Ba2 0.260 0.667 0.816
Ba3 0.333 0.184 0.740
Ba4 0.667 0.816 0.260
Ba5 0.740 0.333 0.184
Ba6 0.816 0.260 0.667
Re1 0.250 0.250 0.250
Re2 0.750 0.750 0.750
N1 0.039 0.483 0.232
N2 0.232 0.039 0.483
N3 0.483 0.232 0.039
N4 0.517 0.768 0.961
N5 0.768 0.961 0.517
N6 0.961 0.517 0.768
O1 0.500 0.500 0.500

energy of formation from the pure elements: -0.9540 eV per atom
SG: R-3